MgMoW2Se4S2 | PBE | optimized geometry

Geometry as POSCAR:
```
MgMoW2Se4S2
1.0
2.840 -1.639 0.000
2.840 1.639 0.000
-1.301 0.000 37.153
Mg Mo W Se S
1 1 2 4 2
Direct
0.000 0.000 0.000 Mg
0.664 0.664 0.877 Mo
0.665 0.665 0.346 W
0.986 0.986 0.125 W
0.008 0.008 0.923 Se
0.009 0.009 0.391 Se
0.987 0.987 0.832 Se
0.988 0.988 0.300 Se
0.643 0.643 0.084 S
0.663 0.663 0.167 S
```

Calculated values
The value obtained for the final energy is -6.6287 eV/atom. As for the relative energy among the computed polymorphs: 0 kJ/mol of formula units. The energy of formation from the pure elements comes out at -0.6674 eV/atom. For the corrected total energy (MP2020 scheme), the calculation gives -67.29 eV per cell. The magnetic moment is 0.0 Bohr magnetons per cell.

***

BaF2 | PBE | optimized geometry

Geometry as POSCAR:
```
BaF2
1.0
0.000 3.142 3.142
3.142 0.000 3.142
3.142 3.142 0.000
Ba F
1 2
Direct
0.000 0.000 0.000 Ba
0.250 0.250 0.250 F
0.750 0.750 0.750 F
```

Calculated values
The value obtained for the final energy is -5.7700 eV/atom. As for the relative energy among the computed polymorphs: 0 kJ/mol of formula units. The energy of formation from the pure elements comes out at -4.1619 eV/atom. For the corrected total energy (MP2020 scheme), the calculation gives -18.23 eV per cell.

***

Tb5Zr3Ni16As12 | PBE | optimized geometry

Geometry as POSCAR:
```
Tb5Zr3Ni16As12
1.0
12.820 0.000 0.000
-6.410 11.103 0.000
0.000 0.000 3.952
Tb Zr Ni As
5 3 16 12
Direct
0.000 0.817 0.000 Tb
0.183 0.183 0.000 Tb
0.333 0.667 0.500 Tb
0.667 0.333 0.500 Tb
0.817 0.000 0.000 Tb
0.000 0.438 0.500 Zr
0.438 0.000 0.500 Zr
0.562 0.562 0.500 Zr
0.000 0.000 0.500 Ni
0.000 0.277 0.000 Ni
0.121 0.639 0.000 Ni
0.183 0.376 0.500 Ni
0.193 0.817 0.500 Ni
0.277 0.000 0.000 Ni
0.361 0.482 0.000 Ni
0.376 0.183 0.500 Ni
0.482 0.361 0.000 Ni
0.518 0.879 0.000 Ni
0.624 0.807 0.500 Ni
0.639 0.121 0.000 Ni
0.723 0.723 0.000 Ni
0.807 0.624 0.500 Ni
0.817 0.193 0.500 Ni
0.879 0.518 0.000 Ni
0.000 0.179 0.500 As
0.000 0.644 0.500 As
0.172 0.479 0.000 As
0.179 0.000 0.500 As
0.307 0.828 0.000 As
0.356 0.356 0.500 As
0.479 0.172 0.000 As
0.521 0.693 0.000 As
0.644 0.000 0.500 As
0.693 0.521 0.000 As
0.821 0.821 0.500 As
0.828 0.307 0.000 As
```

Calculated values
The value obtained for the final energy is -6.3134 eV/atom. The energy of formation from the pure elements comes out at -0.8354 eV/atom. The magnetic moment is 0.0 Bohr magnetons per cell.

***

Er11Al2Ge8 | PBE | optimized geometry

Geometry as POSCAR:
```
Er11Al2Ge8
1.0
-5.475 5.475 8.075
5.475 -5.475 8.075
5.475 5.475 -8.075
Er Al Ge
22 4 16
Direct
0.058 0.310 0.748 Er
0.102 0.432 0.330 Er
0.102 0.772 0.670 Er
0.165 0.165 0.000 Er
0.228 0.898 0.330 Er
0.310 0.058 0.748 Er
0.310 0.562 0.252 Er
0.324 0.324 0.648 Er
0.324 0.676 0.000 Er
0.432 0.102 0.330 Er
0.438 0.690 0.748 Er
0.562 0.310 0.252 Er
0.568 0.898 0.670 Er
0.676 0.324 0.000 Er
0.676 0.676 0.352 Er
0.690 0.438 0.748 Er
0.690 0.942 0.252 Er
0.772 0.102 0.670 Er
0.835 0.835 0.000 Er
0.898 0.228 0.330 Er
0.898 0.568 0.670 Er
0.942 0.690 0.252 Er
0.122 0.122 0.243 Al
0.122 0.878 0.000 Al
0.878 0.122 0.000 Al
0.878 0.878 0.757 Al
0.030 0.030 0.412 Ge
0.030 0.618 0.000 Ge
0.144 0.500 0.644 Ge
0.250 0.750 0.500 Ge
0.382 0.382 0.000 Ge
0.382 0.382 0.412 Ge
0.382 0.970 0.000 Ge
0.500 0.144 0.644 Ge
0.500 0.856 0.356 Ge
0.618 0.030 0.000 Ge
0.618 0.618 0.000 Ge
0.618 0.618 0.588 Ge
0.750 0.250 0.500 Ge
0.856 0.500 0.356 Ge
0.970 0.382 0.000 Ge
0.970 0.970 0.588 Ge
```

Calculated values
The value obtained for the final energy is -5.3122 eV/atom. The energy of formation from the pure elements comes out at -0.8017 eV/atom. The magnetic moment is 0.0 Bohr magnetons per cell.